Computed, not measured: Na9Zr8Si4P8O46 after structural relaxation at the PBE level of DFT.

Cell: 9.1182 9.5381 14.6245 Å, 91.72 107.68 117.58°
Fractional coordinates of all 75 atoms:
Na (0.9042, 0.1421, 0.3732)
Na (0.5580, 0.7314, 0.2161)
Na (0.3775, 0.7147, 0.4230)
Na (0.9022, 0.6830, 0.8649)
Na (0.0799, 0.3025, 0.1025)
Na (0.8590, 0.4956, 0.4421)
Na (0.6109, 0.2373, 0.7213)
Na (0.4007, 0.2318, 0.9249)
Na (0.0806, 0.8144, 0.6008)
Zr (0.8376, 0.6379, 0.0879)
Zr (0.6202, 0.0966, 0.1436)
Zr (0.8450, 0.1445, 0.5917)
Zr (0.5767, 0.5619, 0.6244)
Zr (0.3530, 0.3817, 0.3451)
Zr (0.1395, 0.8947, 0.3765)
Zr (0.3577, 0.8813, 0.8376)
Zr (0.1282, 0.3681, 0.8748)
Si (0.9739, 0.0121, 0.1962)
Si (0.5564, 0.1523, 0.3671)
Si (0.9684, 0.5159, 0.6978)
Si (0.5442, 0.6343, 0.8615)
P (0.2454, 0.8857, 0.0886)
P (0.7434, 0.7685, 0.4552)
P (0.4472, 0.3926, 0.1173)
P (0.0011, 0.4798, 0.2803)
P (0.2175, 0.1803, 0.5746)
P (0.7569, 0.2742, 0.9584)
P (0.4444, 0.8771, 0.6140)
P (0.0092, 0.9736, 0.7749)
O (0.9641, 0.8356, 0.2239)
O (0.7886, 0.0068, 0.1999)
O (0.5026, 0.2624, 0.1136)
O (0.7185, 0.1985, 0.4720)
O (0.6315, 0.1332, 0.2825)
O (0.4094, 0.8529, 0.1288)
O (0.7408, 0.9290, 0.4741)
O (0.9078, 0.8008, 0.4285)
O (0.6133, 0.5608, 0.1306)
O (0.3713, 0.9876, 0.3549)
O (0.0672, 0.7205, 0.0520)
O (0.0062, 0.0405, 0.0978)
O (0.5714, 0.6518, 0.3684)
O (0.3774, 0.4035, 0.1995)
O (0.9526, 0.3327, 0.7223)
O (0.2963, 0.3661, 0.0197)
O (0.7765, 0.5013, 0.6923)
O (0.4903, 0.7420, 0.6070)
O (0.9364, 0.5103, 0.1733)
O (0.1817, 0.4796, 0.2895)
O (0.5384, 0.3142, 0.3666)
O (0.7127, 0.6789, 0.9614)
O (0.0733, 0.6518, 0.3504)
O (0.5956, 0.6135, 0.7670)
O (0.2184, 0.1009, 0.4817)
O (0.4035, 0.3158, 0.6413)
O (0.7224, 0.4145, 0.9770)
O (0.9367, 0.3425, 0.9395)
O (0.1331, 0.1391, 0.3017)
O (0.6173, 0.0421, 0.6317)
O (0.3598, 0.4708, 0.8558)
O (0.3965, 0.4558, 0.4839)
O (0.0766, 0.2371, 0.5481)
O (0.0117, 0.5511, 0.6017)
O (0.6016, 0.1505, 0.8664)
O (0.7561, 0.6926, 0.5478)
O (0.3773, 0.8888, 0.6977)
O (0.2977, 0.8563, 0.5182)
O (0.9457, 0.0142, 0.6703)
O (0.1975, 0.9917, 0.7832)
O (0.5080, 0.7854, 0.8688)
O (0.0701, 0.1426, 0.8457)
O (0.2517, 0.8876, 0.9674)
O (0.1233, 0.6406, 0.8034)
O (0.4390, 0.0064, 0.9841)
O (0.7723, 0.1961, 0.0502)

Summary:
M_tot = 1.00 μB/f.u.
space group = P1, No. 1

=====

Computed, not measured: Na5Zr4Si3P3O24 after structural relaxation at the PBE level of DFT.

Cell: 9.3223 9.3223 9.3223 Å, 58.58 58.58 58.58°
Fractional coordinates of all 39 atoms:
Na (0.7447, 0.7447, 0.7447)
Na (0.1397, 0.8603, 0.5000)
Na (0.5000, 0.1397, 0.8603)
Na (0.8603, 0.5000, 0.1397)
Na (0.2553, 0.2553, 0.2553)
Zr (0.8991, 0.8991, 0.8991)
Zr (0.1009, 0.1009, 0.1009)
Zr (0.3973, 0.3973, 0.3973)
Zr (0.6027, 0.6027, 0.6027)
Si (0.5000, 0.7898, 0.2102)
Si (0.7898, 0.2102, 0.5000)
Si (0.2102, 0.5000, 0.7898)
P (0.2982, 0.0000, 0.7018)
P (0.7018, 0.2982, 0.0000)
P (0.0000, 0.7018, 0.2982)
O (0.0441, 0.8613, 0.2590)
O (0.2590, 0.0441, 0.8613)
O (0.6741, 0.8224, 0.0292)
O (0.8613, 0.2590, 0.0441)
O (0.3259, 0.9708, 0.1776)
O (0.5117, 0.7630, 0.3919)
O (0.8224, 0.0292, 0.6741)
O (0.9708, 0.1776, 0.3259)
O (0.1776, 0.3259, 0.9708)
O (0.1387, 0.9559, 0.7410)
O (0.4718, 0.8362, 0.6866)
O (0.7410, 0.1387, 0.9559)
O (0.7630, 0.3919, 0.5117)
O (0.0292, 0.6741, 0.8224)
O (0.3919, 0.5117, 0.7630)
O (0.3134, 0.1638, 0.5282)
O (0.5282, 0.3134, 0.1638)
O (0.6866, 0.4718, 0.8362)
O (0.9559, 0.7410, 0.1387)
O (0.1638, 0.5282, 0.3134)
O (0.6081, 0.2370, 0.4883)
O (0.8362, 0.6866, 0.4718)
O (0.2370, 0.4883, 0.6081)
O (0.4883, 0.6081, 0.2370)

Summary:
M_tot = 0.00 μB/f.u.
space group = R32, No. 155

=====

| no. | energy of formation from the pure elements (eV/atom) |
| --- | --- |
| 1 | -2.589 |
| 2 | -3.135 |